Version a
Density functional theory data (PBE) for a geometry-optimized K5Sb4 structure.

Cell and atoms, written as POSCAR:
```
K5Sb4
1.0
6.269 -2.766 0.000
6.269 2.766 0.000
-4.213 0.000 10.586
K Sb
5 4
direct
0.000 0.000 0.000 K
0.510 0.510 0.332 K
0.651 0.651 0.775 K
0.773 0.773 0.178 K
0.853 0.853 0.559 K
0.147 0.147 0.557 Sb
0.207 0.207 0.341 Sb
0.295 0.295 0.990 Sb
0.357 0.357 0.775 Sb
```

***

Version b
Density functional theory data (PBE) for a geometry-optimized K5Sb4 structure.

Cell and atoms, written as POSCAR:
```
K5Sb4
1.0
6.555 0.000 0.000
-0.743 6.847 0.000
-0.006 -0.228 8.473
K Sb
5 4
direct
0.000 0.000 0.000 K
0.265 0.208 0.523 K
0.291 0.522 0.141 K
0.709 0.478 0.859 K
0.735 0.792 0.477 K
0.220 0.679 0.714 Sb
0.483 0.024 0.166 Sb
0.517 0.976 0.834 Sb
0.780 0.321 0.286 Sb
```

***

The structure with the least stability is version b.

***

Version a
Density functional theory data (PBE) for a geometry-optimized KSe3 structure.

Cell and atoms, written as POSCAR:
```
KSe3
1.0
11.307 0.000 0.000
0.000 6.490 0.000
-1.432 0.000 7.993
K Se
4 12
direct
0.107 0.000 0.232 K
0.393 0.500 0.768 K
0.607 0.500 0.232 K
0.893 0.000 0.768 K
0.068 0.637 0.634 Se
0.187 0.151 0.862 Se
0.216 0.911 0.656 Se
0.284 0.411 0.344 Se
0.313 0.651 0.138 Se
0.432 0.137 0.366 Se
0.568 0.137 0.634 Se
0.687 0.651 0.862 Se
0.716 0.411 0.656 Se
0.784 0.911 0.344 Se
0.813 0.151 0.138 Se
0.932 0.637 0.366 Se
```

***

Version b
Density functional theory data (PBE) for a geometry-optimized KSe3 structure.

Cell and atoms, written as POSCAR:
```
KSe3
1.0
11.718 0.000 0.000
0.000 5.472 0.000
-3.061 0.000 7.774
K Se
4 12
direct
0.103 0.000 0.252 K
0.397 0.500 0.748 K
0.603 0.500 0.252 K
0.897 0.000 0.748 K
0.100 0.540 0.704 Se
0.136 0.496 0.021 Se
0.162 0.955 0.691 Se
0.338 0.455 0.309 Se
0.364 0.996 0.979 Se
0.400 0.040 0.296 Se
0.600 0.040 0.704 Se
0.636 0.996 0.021 Se
0.662 0.455 0.691 Se
0.838 0.955 0.309 Se
0.864 0.496 0.979 Se
0.900 0.540 0.296 Se
```

***

The structure with the least stability is version b.

***

Version a
Density functional theory data (PBE) for a geometry-optimized KSi structure.

Results
maximum piezoelectric response = 0.1 C/m2

Cell and atoms, written as POSCAR:
```
KSi
1.0
12.700 0.000 0.000
0.000 12.700 0.000
0.000 0.000 12.700
K Si
32 32
direct
0.066 0.140 0.337 K
0.066 0.860 0.663 K
0.140 0.337 0.066 K
0.140 0.663 0.934 K
0.163 0.360 0.566 K
0.163 0.640 0.434 K
0.166 0.166 0.834 K
0.166 0.834 0.166 K
0.334 0.334 0.334 K
0.334 0.666 0.666 K
0.337 0.066 0.140 K
0.337 0.934 0.860 K
0.360 0.434 0.837 K
0.360 0.566 0.163 K
0.434 0.163 0.640 K
0.434 0.837 0.360 K
0.566 0.163 0.360 K
0.566 0.837 0.640 K
0.640 0.434 0.163 K
0.640 0.566 0.837 K
0.663 0.066 0.860 K
0.663 0.934 0.140 K
0.666 0.334 0.666 K
0.666 0.666 0.334 K
0.834 0.166 0.166 K
0.834 0.834 0.834 K
0.837 0.360 0.434 K
0.837 0.640 0.566 K
0.860 0.337 0.934 K
0.860 0.663 0.066 K
0.934 0.140 0.663 K
0.934 0.860 0.337 K
0.062 0.427 0.317 Si
0.062 0.573 0.683 Si
0.068 0.068 0.068 Si
0.068 0.932 0.932 Si
0.073 0.438 0.817 Si
0.073 0.562 0.183 Si
0.183 0.073 0.562 Si
0.183 0.927 0.438 Si
0.317 0.062 0.427 Si
0.317 0.938 0.573 Si
0.427 0.317 0.062 Si
0.427 0.683 0.938 Si
0.432 0.432 0.568 Si
0.432 0.568 0.432 Si
0.438 0.183 0.927 Si
0.438 0.817 0.073 Si
0.562 0.183 0.073 Si
0.562 0.817 0.927 Si
0.568 0.432 0.432 Si
0.568 0.568 0.568 Si
0.573 0.317 0.938 Si
0.573 0.683 0.062 Si
0.683 0.062 0.573 Si
0.683 0.938 0.427 Si
0.817 0.073 0.438 Si
0.817 0.927 0.562 Si
0.927 0.438 0.183 Si
0.927 0.562 0.817 Si
0.932 0.068 0.932 Si
0.932 0.932 0.068 Si
0.938 0.427 0.683 Si
0.938 0.573 0.317 Si
```

***

Version b
Density functional theory data (PBE) for a geometry-optimized KSi structure.

Cell and atoms, written as POSCAR:
```
KSi
1.0
-5.305 5.305 8.628
5.305 -5.305 8.628
5.305 5.305 -8.628
K Si
16 16
direct
0.005 0.255 0.509 K
0.107 0.750 0.857 K
0.245 0.495 0.991 K
0.250 0.107 0.857 K
0.250 0.607 0.357 K
0.255 0.245 0.250 K
0.393 0.250 0.643 K
0.495 0.005 0.250 K
0.505 0.995 0.750 K
0.607 0.750 0.357 K
0.745 0.755 0.750 K
0.750 0.393 0.643 K
0.750 0.893 0.143 K
0.755 0.505 0.009 K
0.893 0.250 0.143 K
0.995 0.745 0.491 K
0.015 0.727 0.091 Si
0.076 0.985 0.212 Si
0.135 0.924 0.409 Si
0.227 0.515 0.591 Si
0.273 0.865 0.288 Si
0.365 0.773 0.788 Si
0.424 0.635 0.909 Si
0.485 0.576 0.712 Si
0.515 0.424 0.288 Si
0.576 0.365 0.091 Si
0.635 0.227 0.212 Si
0.727 0.135 0.712 Si
0.773 0.485 0.409 Si
0.865 0.076 0.591 Si
0.924 0.015 0.788 Si
0.985 0.273 0.909 Si
```

***

The structure with the least stability is version b.

***

Version a
Density functional theory data (PBE) for a geometry-optimized K2Tc structure.

Cell and atoms, written as POSCAR:
```
K2Tc
1.0
4.970 0.000 0.000
0.000 8.446 4.792
0.000 -8.446 4.792
K Tc
6 3
direct
0.000 0.000 0.000 K
0.000 0.484 0.743 K
0.000 0.743 0.484 K
0.500 0.154 0.742 K
0.500 0.332 0.332 K
0.500 0.742 0.154 K
0.000 0.075 0.410 Tc
0.000 0.410 0.075 Tc
0.500 0.741 0.741 Tc
```

***

Version b
Density functional theory data (PBE) for a geometry-optimized K2Tc structure.

Cell and atoms, written as POSCAR:
```
K2Tc
1.0
2.832 0.000 0.000
0.000 9.286 5.418
0.000 -9.286 5.418
K Tc
6 3
direct
0.000 0.000 0.000 K
0.000 0.371 0.682 K
0.000 0.682 0.371 K
0.500 0.033 0.682 K
0.500 0.330 0.330 K
0.500 0.682 0.033 K
0.000 0.015 0.348 Tc
0.000 0.348 0.015 Tc
0.500 0.688 0.688 Tc
```

***

The structure with the least stability is version a.

***

Version a
Density functional theory data (PBE) for a geometry-optimized LiLaMg6O8 structure.

Cell and atoms, written as POSCAR:
```
LiLaMg6O8
1.0
4.461 0.000 0.000
0.000 4.461 0.000
0.000 0.000 8.944
Li La Mg O
1 1 6 8
direct
0.000 0.000 0.000 Li
0.500 0.500 0.000 La
0.000 0.000 0.500 Mg
0.000 0.500 0.267 Mg
0.000 0.500 0.733 Mg
0.500 0.000 0.267 Mg
0.500 0.000 0.733 Mg
0.500 0.500 0.500 Mg
0.000 0.000 0.265 O
0.000 0.000 0.735 O
0.000 0.500 0.000 O
0.000 0.500 0.500 O
0.500 0.000 0.000 O
0.500 0.000 0.500 O
0.500 0.500 0.273 O
0.500 0.500 0.727 O
```

***

Version b
Density functional theory data (PBE) for a geometry-optimized LiLaMg6O8 structure.

Cell and atoms, written as POSCAR:
```
LiLaMg6O8
1.0
4.483 0.000 0.000
0.000 4.483 0.000
0.000 0.000 8.911
Li La Mg O
1 1 6 8
direct
0.000 0.000 0.000 Li
0.000 0.000 0.500 La
0.000 0.500 0.221 Mg
0.000 0.500 0.779 Mg
0.500 0.000 0.221 Mg
0.500 0.000 0.779 Mg
0.500 0.500 0.000 Mg
0.500 0.500 0.500 Mg
0.000 0.000 0.234 O
0.000 0.000 0.766 O
0.000 0.500 0.000 O
0.000 0.500 0.500 O
0.500 0.000 0.000 O
0.500 0.000 0.500 O
0.500 0.500 0.253 O
0.500 0.500 0.747 O
```

***

The structure with the least stability is version b.

***

Version a
Density functional theory data (PBE) for a geometry-optimized LiLaNb4O12 structure.

Cell and atoms, written as POSCAR:
```
LiLaNb4O12
1.0
5.623 0.000 0.000
0.000 5.623 0.000
0.000 0.000 8.031
Li La Nb O
1 1 4 12
direct
0.000 0.000 0.000 Li
0.500 0.500 0.000 La
0.000 0.500 0.257 Nb
0.000 0.500 0.743 Nb
0.500 0.000 0.257 Nb
0.500 0.000 0.743 Nb
0.000 0.500 0.000 O
0.000 0.500 0.500 O
0.256 0.256 0.227 O
0.256 0.256 0.773 O
0.256 0.744 0.227 O
0.256 0.744 0.773 O
0.500 0.000 0.000 O
0.500 0.000 0.500 O
0.744 0.256 0.227 O
0.744 0.256 0.773 O
0.744 0.744 0.227 O
0.744 0.744 0.773 O
```

***

Version b
Density functional theory data (PBE) for a geometry-optimized LiLaNb4O12 structure.

Cell and atoms, written as POSCAR:
```
LiLaNb4O12
1.0
8.951 -3.982 0.000
8.951 3.982 0.000
-3.639 0.000 10.703
Li La Nb O
3 3 12 36
direct
0.000 0.000 0.000 Li
0.166 0.166 0.833 Li
0.500 0.500 0.499 Li
0.333 0.333 0.167 La
0.667 0.667 0.833 La
0.999 0.999 0.499 La
0.079 0.582 0.417 Nb
0.085 0.585 0.915 Nb
0.248 0.747 0.751 Nb
0.251 0.751 0.248 Nb
0.418 0.913 0.087 Nb
0.419 0.920 0.580 Nb
0.582 0.079 0.417 Nb
0.585 0.085 0.915 Nb
0.747 0.248 0.751 Nb
0.751 0.251 0.248 Nb
0.913 0.418 0.087 Nb
0.920 0.419 0.580 Nb
0.000 0.500 0.500 O
0.002 0.496 0.998 O
0.005 0.005 0.741 O
0.017 0.495 0.243 O
0.157 0.157 0.587 O
0.159 0.681 0.840 O
0.167 0.655 0.088 O
0.169 0.679 0.575 O
0.170 0.665 0.334 O
0.174 0.174 0.077 O
0.318 0.841 0.159 O
0.320 0.831 0.425 O
0.328 0.328 0.927 O
0.332 0.834 0.667 O
0.339 0.339 0.405 O
0.341 0.838 0.910 O
0.491 0.491 0.253 O
0.495 0.017 0.243 O
0.496 0.002 0.998 O
0.498 0.986 0.757 O
0.500 0.000 0.500 O
0.509 0.509 0.747 O
0.655 0.167 0.088 O
0.660 0.660 0.595 O
0.665 0.170 0.334 O
0.669 0.669 0.070 O
0.679 0.169 0.575 O
0.681 0.159 0.840 O
0.825 0.825 0.917 O
0.831 0.320 0.425 O
0.834 0.332 0.667 O
0.838 0.341 0.910 O
0.841 0.318 0.159 O
0.843 0.843 0.417 O
0.986 0.498 0.757 O
0.997 0.997 0.260 O
```

***

The structure with the least stability is version b.

***

Version a
Density functional theory data (PBE) for a geometry-optimized Li2La3Ti2Nb2O13 structure.

Cell and atoms, written as POSCAR:
```
Li2La3Ti2Nb2O13
1.0
-2.003 2.003 16.843
2.003 -2.003 16.843
2.003 2.003 -16.843
Li La Ti Nb O
2 3 2 2 13
direct
0.250 0.750 0.500 Li
0.750 0.250 0.500 Li
0.000 0.000 0.000 La
0.119 0.119 0.000 La
0.881 0.881 0.000 La
0.442 0.442 0.000 Ti
0.558 0.558 0.000 Ti
0.320 0.320 0.000 Nb
0.680 0.680 0.000 Nb
0.058 0.558 0.500 O
0.171 0.671 0.500 O
0.264 0.264 0.000 O
0.329 0.829 0.500 O
0.383 0.383 0.000 O
0.442 0.942 0.500 O
0.500 0.500 0.000 O
0.558 0.058 0.500 O
0.617 0.617 0.000 O
0.671 0.171 0.500 O
0.736 0.736 0.000 O
0.829 0.329 0.500 O
0.942 0.442 0.500 O
```

***

Version b
Density functional theory data (PBE) for a geometry-optimized Li2La3Ti2Nb2O13 structure.

Cell and atoms, written as POSCAR:
```
Li2La3Ti2Nb2O13
1.0
16.979 -2.006 0.000
16.979 2.006 0.000
-0.464 0.000 3.986
Li La Ti Nb O
2 3 2 2 13
direct
0.000 0.000 0.000 Li
0.500 0.500 0.495 Li
0.630 0.630 0.128 La
0.750 0.750 0.240 La
0.870 0.870 0.382 La
0.192 0.192 0.691 Ti
0.308 0.308 0.809 Ti
0.071 0.071 0.569 Nb
0.429 0.429 0.932 Nb
0.014 0.014 0.509 O
0.079 0.079 0.077 O
0.134 0.134 0.628 O
0.193 0.193 0.192 O
0.250 0.250 0.756 O
0.308 0.308 0.309 O
0.367 0.367 0.864 O
0.421 0.421 0.423 O
0.486 0.486 0.983 O
0.579 0.579 0.579 O
0.692 0.692 0.692 O
0.808 0.808 0.809 O
0.920 0.920 0.925 O
```

***

The structure with the least stability is version a.